No. 1
Entry from Materials Project: a geometry-optimized CaAgAsO4 structure (PBE-GGA).

Cell lengths 5.615, 5.615, 7.154 Å; angles 90.00, 90.00, 116.06 degrees
Atoms (fractional coordinates):
Ca1 0.000 0.000 0.000
Ca2 0.000 0.000 0.500
Ag1 0.312 0.688 0.750
Ag2 0.688 0.312 0.250
As1 0.348 0.652 0.250
As2 0.652 0.348 0.750
O1 0.225 0.307 0.250
O2 0.242 0.758 0.058
O3 0.242 0.758 0.442
O4 0.307 0.225 0.750
O5 0.693 0.775 0.250
O6 0.758 0.242 0.558
O7 0.758 0.242 0.942
O8 0.775 0.693 0.750

The total magnetization comes out at 0.000 μB per atom. For the formation energy, the calculation gives -2.05 eV/atom. The crystal system is orthorhombic. The calculated total energy comes out at -5.841 eV/atom. As for the space-group type: Cmcm (63).

No. 2
Entry from Materials Project: a geometry-optimized CeZnAgAs2 structure (PBE-GGA).

Cell lengths 4.330, 4.330, 6.913 Å; angles 90.00, 90.00, 120.00 degrees
Atoms (fractional coordinates):
Ce1 0.000 0.000 0.000
Zn1 0.667 0.333 0.380
Ag1 0.333 0.667 0.646
As1 0.333 0.667 0.252
As2 0.667 0.333 0.764

The total magnetization comes out at 0.200 μB per atom. For the formation energy, the calculation gives -0.61 eV/atom. The crystal system is trigonal. The calculated total energy comes out at -4.478 eV/atom. As for the space-group type: P3m1 (156).

No. 3
Entry from Materials Project: a geometry-optimized CuAg7As4ClO14 structure (PBE-GGA).

Cell lengths 6.951, 6.951, 16.771 Å; angles 93.91, 93.91, 82.05 degrees
Atoms (fractional coordinates):
Cu1 0.005 0.995 0.500
Cu2 0.995 0.005 0.000
Ag1 0.135 0.667 0.837
Ag2 0.224 0.339 0.159
Ag3 0.230 0.698 0.339
Ag4 0.298 0.777 0.668
Ag5 0.339 0.224 0.659
Ag6 0.398 0.877 0.175
Ag7 0.399 0.613 0.002
Ag8 0.613 0.399 0.502
Ag9 0.649 0.796 0.844
Ag10 0.667 0.135 0.337
Ag11 0.698 0.230 0.839
Ag12 0.777 0.298 0.168
Ag13 0.796 0.649 0.344
Ag14 0.877 0.398 0.675
As1 0.122 0.470 0.502
As2 0.153 0.182 0.344
As3 0.182 0.153 0.844
As4 0.470 0.122 0.002
As5 0.529 0.895 0.504
As6 0.805 0.904 0.662
As7 0.895 0.529 0.004
As8 0.904 0.805 0.162
Cl1 0.457 0.524 0.767
Cl2 0.524 0.457 0.267
O1 0.006 0.926 0.610
O2 0.012 0.308 0.030
O3 0.019 0.677 0.457
O4 0.029 0.349 0.810
O5 0.030 0.333 0.276
O6 0.050 0.691 0.984
O7 0.051 0.996 0.887
O8 0.128 0.695 0.195
O9 0.254 0.335 0.421
O10 0.308 0.012 0.530
O11 0.309 0.495 0.572
O12 0.333 0.030 0.776
O13 0.335 0.254 0.921
O14 0.335 0.958 0.035
O15 0.349 0.029 0.310
O16 0.495 0.309 0.072
O17 0.521 0.699 0.437
O18 0.636 0.786 0.596
O19 0.677 0.019 0.957
O20 0.691 0.050 0.484
O21 0.695 0.128 0.695
O22 0.699 0.521 0.937
O23 0.734 0.863 0.232
O24 0.786 0.636 0.096
O25 0.863 0.734 0.732
O26 0.926 0.006 0.110
O27 0.958 0.335 0.535
O28 0.996 0.051 0.387

The total magnetization comes out at 0.037 μB per atom. For the formation energy, the calculation gives -1.08 eV/atom. The crystal system is monoclinic. The calculated total energy comes out at -4.936 eV/atom. As for the space-group type: Cc (9).

No. 4
Entry from Materials Project: a geometry-optimized AgHg3As2Cl3 structure (PBE-GGA).

Cell lengths 13.431, 13.431, 15.192 Å; angles 121.45, 121.45, 40.90 degrees
Atoms (fractional coordinates):
Ag1 0.109 0.554 0.226
Ag2 0.155 0.845 0.750
Ag3 0.446 0.891 0.274
Ag4 0.554 0.109 0.726
Ag5 0.845 0.155 0.250
Ag6 0.891 0.446 0.774
Hg1 0.000 0.000 0.000
Hg2 0.000 0.000 0.500
Hg3 0.043 0.619 0.751
Hg4 0.164 0.166 0.498
Hg5 0.166 0.164 0.998
Hg6 0.300 0.700 0.250
Hg7 0.330 0.333 0.999
Hg8 0.333 0.330 0.499
Hg9 0.381 0.957 0.749
Hg10 0.500 0.500 0.000
Hg11 0.500 0.500 0.500
Hg12 0.619 0.043 0.251
Hg13 0.667 0.670 0.501
Hg14 0.670 0.667 0.001
Hg15 0.700 0.300 0.750
Hg16 0.834 0.836 0.002
Hg17 0.836 0.834 0.502
Hg18 0.957 0.381 0.249
As1 0.043 0.756 0.948
As2 0.089 0.373 0.447
As3 0.244 0.957 0.552
As4 0.297 0.570 0.051
As5 0.373 0.089 0.947
As6 0.430 0.703 0.449
As7 0.570 0.297 0.551
As8 0.627 0.911 0.053
As9 0.703 0.430 0.949
As10 0.756 0.043 0.448
As11 0.911 0.627 0.553
As12 0.957 0.244 0.052
Cl1 0.000 0.500 0.000
Cl2 0.001 0.847 0.251
Cl3 0.117 0.353 0.742
Cl4 0.153 0.999 0.249
Cl5 0.179 0.699 0.563
Cl6 0.301 0.821 0.937
Cl7 0.353 0.117 0.242
Cl8 0.375 0.396 0.749
Cl9 0.396 0.375 0.249
Cl10 0.500 0.000 0.500
Cl11 0.604 0.625 0.751
Cl12 0.625 0.604 0.251
Cl13 0.647 0.883 0.758
Cl14 0.699 0.179 0.063
Cl15 0.821 0.301 0.437
Cl16 0.847 0.001 0.751
Cl17 0.883 0.647 0.258
Cl18 0.999 0.153 0.749

The total magnetization comes out at 0.000 μB per atom. For the formation energy, the calculation gives -0.57 eV/atom. The crystal system is monoclinic. The calculated total energy comes out at -2.428 eV/atom. As for the space-group type: C2/c (15).

No. 5
Entry from Materials Project: a geometry-optimized K2AgAsCl6 structure (PBE-GGA).

Cell lengths 7.353, 7.353, 7.353 Å; angles 60.00, 60.00, 60.00 degrees
Atoms (fractional coordinates):
K1 0.250 0.250 0.250
K2 0.750 0.750 0.750
Ag1 0.000 0.000 0.000
As1 0.500 0.500 0.500
Cl1 0.259 0.259 0.741
Cl2 0.259 0.741 0.259
Cl3 0.259 0.741 0.741
Cl4 0.741 0.259 0.259
Cl5 0.741 0.259 0.741
Cl6 0.741 0.741 0.259

The total magnetization comes out at 0.000 μB per atom. For the formation energy, the calculation gives -1.51 eV/atom. The crystal system is cubic. The calculated total energy comes out at -3.219 eV/atom. As for the space-group type: Fm-3m (225).

No. 6
Entry from Materials Project: a geometry-optimized Na2AgAsCl6 structure (PBE-GGA).

Cell lengths 7.296, 7.296, 7.296 Å; angles 60.00, 60.00, 60.00 degrees
Atoms (fractional coordinates):
Na1 0.250 0.250 0.250
Na2 0.750 0.750 0.750
Ag1 0.000 0.000 0.000
As1 0.500 0.500 0.500
Cl1 0.258 0.258 0.742
Cl2 0.258 0.742 0.258
Cl3 0.258 0.742 0.742
Cl4 0.742 0.258 0.258
Cl5 0.742 0.258 0.742
Cl6 0.742 0.742 0.258

The total magnetization comes out at 0.000 μB per atom. For the formation energy, the calculation gives -1.32 eV/atom. The crystal system is cubic. The calculated total energy comes out at -3.072 eV/atom. As for the space-group type: Fm-3m (225).

No. 7
Entry from Materials Project: a geometry-optimized Rb2AgAsCl6 structure (PBE-GGA).

Cell lengths 7.399, 7.399, 7.399 Å; angles 60.00, 60.00, 60.00 degrees
Atoms (fractional coordinates):
Rb1 0.250 0.250 0.250
Rb2 0.750 0.750 0.750
Ag1 0.000 0.000 0.000
As1 0.500 0.500 0.500
Cl1 0.259 0.259 0.741
Cl2 0.259 0.741 0.259
Cl3 0.259 0.741 0.741
Cl4 0.741 0.259 0.259
Cl5 0.741 0.259 0.741
Cl6 0.741 0.741 0.259

The total magnetization comes out at 0.000 μB per atom. For the formation energy, the calculation gives -1.54 eV/atom. The crystal system is cubic. The calculated total energy comes out at -3.224 eV/atom. As for the space-group type: Fm-3m (225).

No. 8
Entry from Materials Project: a geometry-optimized Cs2AgAsF6 structure (PBE-GGA).

Cell lengths 6.502, 6.502, 6.502 Å; angles 60.00, 60.00, 60.00 degrees
Atoms (fractional coordinates):
Cs1 0.250 0.250 0.250
Cs2 0.750 0.750 0.750
Ag1 0.000 0.000 0.000
As1 0.500 0.500 0.500
F1 0.273 0.273 0.727
F2 0.273 0.727 0.273
F3 0.273 0.727 0.727
F4 0.727 0.273 0.273
F5 0.727 0.273 0.727
F6 0.727 0.727 0.273

The total magnetization comes out at 0.000 μB per atom. For the formation energy, the calculation gives -2.44 eV/atom. The crystal system is cubic. The calculated total energy comes out at -4.237 eV/atom. As for the space-group type: Fm-3m (225).

No. 9
Entry from Materials Project: a geometry-optimized Cs2AgAsS4 structure (PBE-GGA).

Cell lengths 6.934, 7.353, 11.343 Å; angles 73.16, 74.44, 71.13 degrees
Atoms (fractional coordinates):
Cs1 0.230 0.260 0.096
Cs2 0.262 0.014 0.689
Cs3 0.738 0.986 0.311
Cs4 0.770 0.740 0.904
Ag1 0.138 0.582 0.578
Ag2 0.862 0.418 0.422
As1 0.360 0.635 0.269
As2 0.640 0.365 0.731
S1 0.242 0.854 0.386
S2 0.246 0.758 0.094
S3 0.257 0.368 0.380
S4 0.295 0.449 0.771
S5 0.705 0.551 0.229
S6 0.743 0.632 0.620
S7 0.754 0.242 0.906
S8 0.758 0.146 0.614

The total magnetization comes out at 0.000 μB per atom. For the formation energy, the calculation gives -0.89 eV/atom. The crystal system is triclinic. The calculated total energy comes out at -3.863 eV/atom. As for the space-group type: P-1 (2).

No. 10
Entry from Materials Project: a geometry-optimized Cu29Ag12As14 structure (PBE-GGA).

Cell lengths 11.845, 11.867, 11.870 Å; angles 90.00, 90.04, 90.14 degrees
Atoms (fractional coordinates):
Cu1 0.000 0.000 0.000
Cu2 0.000 0.234 0.244
Cu3 0.000 0.736 0.506
Cu4 0.001 0.496 0.744
Cu5 0.239 0.242 0.009
Cu6 0.239 0.498 0.505
Cu7 0.239 0.735 0.744
Cu8 0.239 0.998 0.243
Cu9 0.240 0.996 0.006
Cu10 0.241 0.495 0.748
Cu11 0.242 0.738 0.502
Cu12 0.245 0.236 0.243
Cu13 0.281 0.788 0.952
Cu14 0.287 0.284 0.458
Cu15 0.287 0.948 0.794
Cu16 0.289 0.275 0.798
Cu17 0.289 0.447 0.294
Cu18 0.293 0.788 0.283
Cu19 0.293 0.957 0.453
Cu20 0.448 0.778 0.796
Cu21 0.449 0.287 0.957
Cu22 0.451 0.449 0.458
Cu23 0.452 0.947 0.293
Cu24 0.460 0.446 0.798
Cu25 0.461 0.789 0.453
Cu26 0.494 0.498 0.008
Cu27 0.498 0.738 0.005
Cu28 0.499 0.996 0.748
Cu29 0.500 0.236 0.504
Cu30 0.500 0.236 0.746
Cu31 0.500 0.491 0.243
Cu32 0.502 0.999 0.506
Cu33 0.503 0.736 0.243
Cu34 0.737 0.235 0.506
Cu35 0.738 0.498 0.244
Cu36 0.739 0.737 0.006
Cu37 0.739 0.997 0.505
Cu38 0.740 0.495 0.006
Cu39 0.740 0.739 0.246
Cu40 0.741 0.236 0.752
Cu41 0.745 0.000 0.745
Cu42 0.779 0.444 0.453
Cu43 0.779 0.790 0.796
Cu44 0.788 0.449 0.793
Cu45 0.789 0.286 0.295
Cu46 0.789 0.949 0.954
Cu47 0.791 0.788 0.465
Cu48 0.947 0.274 0.454
Cu49 0.948 0.445 0.283
Cu50 0.949 0.790 0.965
Cu51 0.951 0.948 0.457
Cu52 0.952 0.448 0.956
Cu53 0.953 0.784 0.292
Cu54 0.958 0.289 0.798
Cu55 0.995 0.235 0.006
Cu56 0.998 0.494 0.502
Cu57 0.998 0.740 0.746
Cu58 0.999 0.998 0.244
Ag1 0.115 0.113 0.807
Ag2 0.118 0.115 0.450
Ag3 0.118 0.293 0.627
Ag4 0.118 0.936 0.627
Ag5 0.121 0.615 0.300
Ag6 0.121 0.615 0.943
Ag7 0.121 0.794 0.123
Ag8 0.124 0.436 0.121
Ag9 0.296 0.116 0.627
Ag10 0.300 0.613 0.120
Ag11 0.440 0.617 0.625
Ag12 0.441 0.118 0.126
Ag13 0.617 0.295 0.127
Ag14 0.619 0.439 0.626
Ag15 0.619 0.617 0.805
Ag16 0.619 0.796 0.626
Ag17 0.620 0.940 0.123
Ag18 0.621 0.116 0.302
Ag19 0.621 0.119 0.947
Ag20 0.621 0.618 0.448
Ag21 0.798 0.118 0.122
Ag22 0.799 0.617 0.625
Ag23 0.939 0.113 0.630
Ag24 0.944 0.616 0.124
As1 0.110 0.875 0.868
As2 0.117 0.365 0.375
As3 0.120 0.117 0.124
As4 0.120 0.616 0.625
As5 0.122 0.867 0.374
As6 0.129 0.374 0.884
As7 0.362 0.608 0.884
As8 0.369 0.367 0.629
As9 0.370 0.367 0.126
As10 0.371 0.619 0.374
As11 0.372 0.866 0.624
As12 0.378 0.108 0.886
As13 0.378 0.875 0.114
As14 0.379 0.127 0.366
As15 0.609 0.357 0.366
As16 0.610 0.876 0.882
As17 0.620 0.117 0.628
As18 0.620 0.617 0.124
As19 0.629 0.359 0.886
As20 0.631 0.875 0.367
As21 0.860 0.106 0.366
As22 0.860 0.357 0.115
As23 0.862 0.877 0.133
As24 0.868 0.616 0.375
As25 0.869 0.365 0.624
As26 0.870 0.620 0.874
As27 0.871 0.119 0.874
As28 0.877 0.875 0.635

The total magnetization comes out at 0.000 μB per atom. For the formation energy, the calculation gives 0.04 eV/atom. The crystal system is triclinic. The calculated total energy comes out at -3.924 eV/atom. As for the space-group type: P1 (1).

> Number 3 is which compound?

CuAg7As4ClO14